## ErPaOs2 (PBE-GGA)

Data for a relaxed ErPaOs2 crystal.

a = 4.847 Å, b = 4.847 Å, c = 4.847 Å
α = 60.00°, β = 60.00°, γ = 60.00°
Atoms (fractional coordinates):
Er: 0.500 0.500 0.500
Pa: 0.000 0.000 0.000
Os: 0.250 0.250 0.250
Os: 0.750 0.750 0.750

Calculated values
The calculation puts the formation energy from the elements at -5.71 kcal/mol of atoms. The crystal system is cubic.